1.
Density functional theory data (PBE-GGA) for an optimized crystal structure of RbO2F.

Values from the calculation:
- theoretical density (Mg/m³) = 2.817
- calculated formation energy (eV per atom) = -1.240
- size of the total moment (μB per atom) = 0.00
- final energy (eV/cell) = -135.734
- V (A^3/atom) = 20.112
- total energy after the MP2020 corrections (eV/cell) = -142.01

Cell: 12.173 12.173 4.343 Å, 90.00 90.00 90.00°
Fractional coordinates of all 32 atoms:
Rb (0.000, 0.000, 0.000)
Rb (0.000, 0.500, 0.259)
Rb (0.234, 0.734, 0.249)
Rb (0.266, 0.234, 0.751)
Rb (0.500, 0.000, 0.741)
Rb (0.500, 0.500, 0.000)
Rb (0.734, 0.766, 0.751)
Rb (0.766, 0.266, 0.249)
O (0.002, 0.215, 0.668)
O (0.007, 0.205, 0.382)
O (0.205, 0.993, 0.618)
O (0.215, 0.998, 0.332)
O (0.285, 0.498, 0.668)
O (0.295, 0.493, 0.382)
O (0.493, 0.705, 0.618)
O (0.498, 0.715, 0.332)
O (0.502, 0.285, 0.332)
O (0.507, 0.295, 0.618)
O (0.705, 0.507, 0.382)
O (0.715, 0.502, 0.668)
O (0.785, 0.002, 0.332)
O (0.795, 0.007, 0.618)
O (0.993, 0.795, 0.382)
O (0.998, 0.785, 0.668)
F (0.120, 0.620, 0.773)
F (0.169, 0.331, 0.237)
F (0.331, 0.831, 0.763)
F (0.380, 0.120, 0.227)
F (0.620, 0.880, 0.227)
F (0.669, 0.169, 0.763)
F (0.831, 0.669, 0.237)
F (0.880, 0.380, 0.773)

2.
Density functional theory data (PBE-GGA) for an optimized crystal structure of RbSO4F.

Values from the calculation:
- theoretical density (Mg/m³) = 2.833
- calculated formation energy (eV per atom) = -1.777
- size of the total moment (μB per atom) = 0.00
- final energy (eV/cell) = -72.099
- V (A^3/atom) = 16.793
- total energy after the MP2020 corrections (eV/cell) = -78.52

Cell: 5.633 5.758 7.750 Å, 100.36 106.57 93.93°
Fractional coordinates of all 14 atoms:
Rb (0.110, 0.335, 0.241)
Rb (0.890, 0.665, 0.759)
S (0.384, 0.224, 0.788)
S (0.616, 0.776, 0.212)
O (0.175, 0.183, 0.858)
O (0.341, 0.374, 0.652)
O (0.367, 0.733, 0.079)
O (0.433, 0.957, 0.686)
O (0.567, 0.043, 0.314)
O (0.633, 0.267, 0.921)
O (0.659, 0.626, 0.348)
O (0.825, 0.817, 0.142)
F (0.206, 0.853, 0.526)
F (0.794, 0.147, 0.474)

3.
Density functional theory data (PBE-GGA) for an optimized crystal structure of RbSbSO4F2.

Values from the calculation:
- theoretical density (Mg/m³) = 3.684
- calculated formation energy (eV per atom) = -2.289
- size of the total moment (μB per atom) = 0.00
- final energy (eV/cell) = -199.178
- V (A^3/atom) = 17.094
- total energy after the MP2020 corrections (eV/cell) = -213.87

Cell: 9.761 11.637 5.417 Å, 90.00 90.00 90.00°
Fractional coordinates of all 36 atoms:
Rb (0.016, 0.159, 0.000)
Rb (0.484, 0.659, 0.500)
Rb (0.516, 0.341, 0.000)
Rb (0.984, 0.841, 0.500)
Sb (0.171, 0.584, 0.016)
Sb (0.329, 0.084, 0.516)
Sb (0.671, 0.916, 0.016)
Sb (0.829, 0.416, 0.516)
S (0.201, 0.366, 0.459)
S (0.299, 0.866, 0.959)
S (0.701, 0.134, 0.459)
S (0.799, 0.634, 0.959)
O (0.082, 0.335, 0.613)
O (0.146, 0.422, 0.224)
O (0.201, 0.941, 0.087)
O (0.227, 0.759, 0.864)
O (0.273, 0.259, 0.364)
O (0.299, 0.441, 0.587)
O (0.354, 0.922, 0.724)
O (0.418, 0.835, 0.113)
O (0.582, 0.165, 0.613)
O (0.646, 0.078, 0.224)
O (0.701, 0.559, 0.087)
O (0.727, 0.741, 0.864)
O (0.773, 0.241, 0.364)
O (0.799, 0.059, 0.587)
O (0.854, 0.578, 0.724)
O (0.918, 0.665, 0.113)
F (0.128, 0.061, 0.546)
F (0.180, 0.659, 0.340)
F (0.320, 0.159, 0.840)
F (0.372, 0.561, 0.046)
F (0.628, 0.439, 0.546)
F (0.680, 0.841, 0.340)
F (0.820, 0.341, 0.840)
F (0.872, 0.939, 0.046)

4.
Density functional theory data (PBE-GGA) for an optimized crystal structure of Rb3Sc2Si4O10F5.

Values from the calculation:
- theoretical density (Mg/m³) = 3.091
- calculated formation energy (eV per atom) = -3.446
- size of the total moment (μB per atom) = 0.00
- final energy (eV/cell) = -679.563
- V (A^3/atom) = 15.975
- total energy after the MP2020 corrections (eV/cell) = -716.28

Cell: 9.757 8.395 18.722 Å, 90.00 90.00 90.00°
Fractional coordinates of all 96 atoms:
Rb (0.006, 0.250, 0.014)
Rb (0.139, 0.750, 0.624)
Rb (0.142, 0.250, 0.630)
Rb (0.358, 0.750, 0.130)
Rb (0.361, 0.250, 0.124)
Rb (0.494, 0.750, 0.514)
Rb (0.506, 0.250, 0.486)
Rb (0.639, 0.750, 0.876)
Rb (0.642, 0.250, 0.870)
Rb (0.858, 0.750, 0.370)
Rb (0.861, 0.250, 0.376)
Rb (0.994, 0.750, 0.986)
Sc (0.189, 0.000, 0.446)
Sc (0.189, 0.500, 0.446)
Sc (0.311, 0.000, 0.946)
Sc (0.311, 0.500, 0.946)
Sc (0.689, 0.000, 0.054)
Sc (0.689, 0.500, 0.054)
Sc (0.811, 0.000, 0.554)
Sc (0.811, 0.500, 0.554)
Si (0.070, 0.063, 0.821)
Si (0.070, 0.437, 0.821)
Si (0.163, 0.063, 0.275)
Si (0.163, 0.437, 0.275)
Si (0.337, 0.563, 0.775)
Si (0.337, 0.937, 0.775)
Si (0.430, 0.563, 0.321)
Si (0.430, 0.937, 0.321)
Si (0.570, 0.063, 0.679)
Si (0.570, 0.437, 0.679)
Si (0.663, 0.063, 0.225)
Si (0.663, 0.437, 0.225)
Si (0.837, 0.563, 0.725)
Si (0.837, 0.937, 0.725)
Si (0.930, 0.563, 0.179)
Si (0.930, 0.937, 0.179)
O (0.021, 0.250, 0.818)
O (0.065, 0.038, 0.204)
O (0.065, 0.462, 0.204)
O (0.089, 0.016, 0.349)
O (0.089, 0.484, 0.349)
O (0.122, 0.011, 0.899)
O (0.122, 0.489, 0.899)
O (0.193, 0.038, 0.761)
O (0.193, 0.462, 0.761)
O (0.212, 0.250, 0.272)
O (0.288, 0.750, 0.772)
O (0.307, 0.538, 0.261)
O (0.307, 0.962, 0.261)
O (0.378, 0.511, 0.399)
O (0.378, 0.989, 0.399)
O (0.411, 0.516, 0.849)
O (0.411, 0.984, 0.849)
O (0.435, 0.538, 0.704)
O (0.435, 0.962, 0.704)
O (0.479, 0.750, 0.318)
O (0.521, 0.250, 0.682)
O (0.565, 0.038, 0.296)
O (0.565, 0.462, 0.296)
O (0.589, 0.016, 0.151)
O (0.589, 0.484, 0.151)
O (0.622, 0.011, 0.601)
O (0.622, 0.489, 0.601)
O (0.693, 0.038, 0.739)
O (0.693, 0.462, 0.739)
O (0.712, 0.250, 0.228)
O (0.788, 0.750, 0.728)
O (0.807, 0.538, 0.239)
O (0.807, 0.962, 0.239)
O (0.878, 0.511, 0.101)
O (0.878, 0.989, 0.101)
O (0.911, 0.516, 0.651)
O (0.911, 0.984, 0.651)
O (0.935, 0.538, 0.796)
O (0.935, 0.962, 0.796)
O (0.979, 0.750, 0.182)
F (0.000, 0.000, 0.500)
F (0.000, 0.500, 0.500)
F (0.175, 0.750, 0.451)
F (0.190, 0.250, 0.458)
F (0.224, 0.005, 0.045)
F (0.224, 0.495, 0.045)
F (0.276, 0.505, 0.545)
F (0.276, 0.995, 0.545)
F (0.310, 0.750, 0.958)
F (0.325, 0.250, 0.951)
F (0.500, 0.000, 0.000)
F (0.500, 0.500, 0.000)
F (0.675, 0.750, 0.049)
F (0.690, 0.250, 0.042)
F (0.724, 0.005, 0.455)
F (0.724, 0.495, 0.455)
F (0.776, 0.505, 0.955)
F (0.776, 0.995, 0.955)
F (0.810, 0.750, 0.542)
F (0.825, 0.250, 0.549)

5.
Density functional theory data (PBE-GGA) for an optimized crystal structure of RbTeOF4.

Values from the calculation:
- theoretical density (Mg/m³) = 3.634
- calculated formation energy (eV per atom) = -2.275
- size of the total moment (μB per atom) = 0.14
- final energy (eV/cell) = -120.480
- V (A^3/atom) = 19.912
- total energy after the MP2020 corrections (eV/cell) = -130.62

Cell: 8.518 8.518 14.132 Å, 94.63 94.63 33.07°
Fractional coordinates of all 28 atoms:
Rb (0.085, 0.915, 0.500)
Rb (0.199, 0.395, 0.240)
Rb (0.395, 0.199, 0.740)
Rb (0.915, 0.085, 0.000)
Te (0.531, 0.587, 0.251)
Te (0.587, 0.531, 0.751)
Te (0.708, 0.766, 0.991)
Te (0.766, 0.708, 0.491)
O (0.027, 0.644, 0.019)
O (0.267, 0.655, 0.715)
O (0.644, 0.027, 0.519)
O (0.655, 0.267, 0.215)
F (0.016, 0.350, 0.018)
F (0.117, 0.544, 0.464)
F (0.163, 0.775, 0.277)
F (0.288, 0.948, 0.731)
F (0.350, 0.016, 0.518)
F (0.439, 0.642, 0.108)
F (0.441, 0.655, 0.886)
F (0.544, 0.117, 0.964)
F (0.637, 0.847, 0.354)
F (0.639, 0.867, 0.132)
F (0.642, 0.439, 0.608)
F (0.655, 0.441, 0.386)
F (0.775, 0.163, 0.777)
F (0.847, 0.637, 0.854)
F (0.867, 0.639, 0.632)
F (0.948, 0.288, 0.231)